{
  "formula": "SrZn",
  "functional": "PBE",
  "state": "relaxed",
  "lattice_angstrom": [[4.6004, 0.0000, 0.0000], [0.0000, 6.3902, 0.0000], [0.0000, 0.0000, 8.6898]],
  "species": ["Zn", "Zn", "Zn", "Zn", "Sr", "Sr", "Sr", "Sr"],
  "fractional_positions": [[0.2500, 0.8987, 0.5279], [0.2500, 0.6013, 0.0279], [0.7500, 0.3987, 0.9721], [0.7500, 0.1013, 0.4721], [0.2500, 0.1165, 0.1784], [0.7500, 0.6165, 0.3216], [0.2500, 0.3835, 0.6784], [0.7500, 0.8835, 0.8216]],
  "volume_a3_per_fu": 63.86,
  "e_tot_ev_per_atom": -1.6834,
  "formation_energy_mev_per_atom": -209
}

***

{
  "formula": "SrZrZn",
  "functional": "PBE",
  "state": "relaxed",
  "lattice_angstrom": [[1.8066, -4.5317, 0.7062], [-0.6646, -2.2722, 4.3237], [-3.0599, -3.8517, 0.3154]],
  "species": ["Zr", "Zn", "Sr"],
  "fractional_positions": [[0.7500, 0.7500, 0.7500], [0.5000, 0.5000, 0.5000], [0.0000, 0.0000, 0.0000]],
  "volume_a3_per_fu": 84.70,
  "e_tot_ev_per_atom": -2.9514,
  "formation_energy_mev_per_atom": 881,
  "magnetic_moment_mub_per_cell": 0.0
}

***

{
  "formula": "Sr3Zr",
  "functional": "PBE",
  "state": "relaxed",
  "lattice_angstrom": [[0.7444, -5.9192, 3.1426], [-6.0076, -1.9970, 2.3212], [1.9509, 2.0787, -6.1107]],
  "species": ["Sr", "Sr", "Sr", "Zr"],
  "fractional_positions": [[0.7500, 0.2500, 0.5000], [0.2500, 0.7500, 0.5000], [0.5000, 0.5000, 0.0000], [0.0000, 0.0000, 0.0000]],
  "e_above_lowest_polymorph_mev_per_atom": 0,
  "volume_a3_per_fu": 168.99,
  "e_tot_ev_per_atom": -2.9035,
  "formation_energy_mev_per_atom": 501,
  "magnetic_moment_mub_per_cell": 2.7
}

***

{
  "formula": "Sr3Zr",
  "functional": "PBE",
  "state": "relaxed",
  "lattice_angstrom": [[-0.1785, 5.1861, 1.9379], [-5.0112, 0.6730, -2.2624], [-2.3536, -1.8260, 4.6700]],
  "species": ["Sr", "Sr", "Sr", "Zr"],
  "fractional_positions": [[0.5000, 0.0000, 0.5000], [0.5000, 0.5000, 0.0000], [0.0000, 0.5000, 0.5000], [0.0000, 0.0000, 0.0000]],
  "e_above_lowest_polymorph_mev_per_atom": 18,
  "volume_a3_per_fu": 169.96,
  "e_tot_ev_per_atom": -2.8851,
  "formation_energy_mev_per_atom": 519,
  "magnetic_moment_mub_per_cell": 2.3
}